Record 1
# TiAlO3, optimized geometry, DFT PBE
data_TiAlO3
_symmetry_space_group_name_H-M 'P 63/m m c'
_symmetry_Int_Tables_number 194
_symmetry_space_group_name_Hall '-P 6c 2c'
_cell_length_a 3.1803
_cell_length_b 3.1803
_cell_length_c 12.0599
_cell_angle_alpha 90.00
_cell_angle_beta 90.00
_cell_angle_gamma 120.00
loop_
_atom_site_label
_atom_site_type_symbol
_atom_site_fract_x
_atom_site_fract_y
_atom_site_fract_z
Ti1 Ti 0.3333 0.6667 0.2500
Al1 Al 0.0000 0.0000 0.0000
O1 O 0.0000 0.0000 0.2500
O2 O 0.3333 0.6667 0.0756
# **E (MP2020)**: -84.0 eV per cell
# **DFT formation energy**: -15.535 eV per formula unit

Record 2
# Cu2S, optimized geometry, DFT PBE
data_Cu2S
_symmetry_space_group_name_H-M 'P 1 21/c 1'
_symmetry_Int_Tables_number 14
_cell_length_a 15.1304
_cell_length_b 11.9158
_cell_length_c 13.3522
_cell_angle_alpha 90.00
_cell_angle_beta 116.17
_cell_angle_gamma 90.00
loop_
_symmetry_equiv_pos_as_xyz
'x,y,z'
'-x,-y,-z'
'-x,y+1/2,-z+1/2'
'x,-y+1/2,z+1/2'
loop_
_atom_site_label
_atom_site_type_symbol
_atom_site_fract_x
_atom_site_fract_y
_atom_site_fract_z
Cu1 Cu 0.0027 0.0792 0.2807
Cu2 Cu 0.0230 0.2096 0.7558
Cu3 Cu 0.0528 0.6596 0.5595
Cu4 Cu 0.0794 0.6244 0.0639
Cu5 Cu 0.1096 0.1009 0.1626
Cu6 Cu 0.1117 0.0656 0.6770
Cu7 Cu 0.1224 0.1099 0.9587
Cu8 Cu 0.1393 0.7361 0.4254
Cu9 Cu 0.1867 0.5471 0.3613
Cu10 Cu 0.1996 0.5418 0.8736
Cu11 Cu 0.2094 0.1973 0.5729
Cu12 Cu 0.2352 0.7362 0.6498
Cu13 Cu 0.2708 0.2499 0.4189
Cu14 Cu 0.2819 0.0613 0.1635
Cu15 Cu 0.2926 0.7086 0.3620
Cu16 Cu 0.3276 0.0382 0.6831
Cu17 Cu 0.3592 0.2494 0.2841
Cu18 Cu 0.3617 0.6016 0.8186
Cu19 Cu 0.3686 0.5874 0.5582
Cu20 Cu 0.3990 0.5772 0.0568
Cu21 Cu 0.4289 0.1295 0.9899
Cu22 Cu 0.4449 0.1449 0.5061
Cu23 Cu 0.4768 0.7034 0.7326
Cu24 Cu 0.4974 0.5869 0.2812
S1 S 0.0513 0.2140 0.4200
S2 S 0.0550 0.5667 0.4089
S3 S 0.0552 0.5902 0.8859
S4 S 0.1910 0.2388 0.7280
S5 S 0.1922 0.5732 0.7053
S6 S 0.2232 0.5806 0.2150
S7 S 0.2886 0.0770 0.0001
S8 S 0.2956 0.0810 0.5055
S9 S 0.3060 0.7355 0.0301
S10 S 0.4340 0.0736 0.3404
S11 S 0.4500 0.7291 0.3695
S12 S 0.4594 0.0842 0.8449
# **E (MP2020)**: -634.2 eV per cell
# **DFT formation energy**: -0.878 eV per formula unit

Record 3
# Sr3B6O11F2, optimized geometry, DFT PBE
data_Sr3B6O11F2
_symmetry_space_group_name_H-M 'P 1 21 1'
_symmetry_Int_Tables_number 4
_cell_length_a 6.4654
_cell_length_b 8.3340
_cell_length_c 9.4928
_cell_angle_alpha 90.00
_cell_angle_beta 101.73
_cell_angle_gamma 90.00
loop_
_symmetry_equiv_pos_as_xyz
'x,y,z'
'-x,y+1/2,-z'
loop_
_atom_site_label
_atom_site_type_symbol
_atom_site_fract_x
_atom_site_fract_y
_atom_site_fract_z
Sr1 Sr 0.0188 0.0000 0.2367
Sr2 Sr 0.4390 0.3538 0.4683
Sr3 Sr 0.4545 0.8421 0.9504
B1 B 0.0075 0.6822 0.4440
B2 B 0.0689 0.3586 0.1430
B3 B 0.1020 0.1362 0.9358
B4 B 0.1047 0.8991 0.6271
B5 B 0.2707 0.6169 0.2093
B6 B 0.3274 0.1412 0.7341
O1 O 0.0081 0.8048 0.7261
O2 O 0.0521 0.5213 0.4493
O3 O 0.0788 0.9602 0.9563
O4 O 0.0901 0.7039 0.1645
O5 O 0.1296 0.2116 0.0781
O6 O 0.1586 0.7871 0.5153
O7 O 0.1827 0.2442 0.6279
O8 O 0.2729 0.4520 0.1973
O9 O 0.2929 0.1708 0.8784
O10 O 0.3047 0.9720 0.6935
O11 O 0.4535 0.6988 0.2706
F1 F 0.3383 0.5576 0.8965
F2 F 0.3766 0.0727 0.3879
# **E (MP2020)**: -348.9 eV per cell
# **DFT formation energy**: -71.033 eV per formula unit

Record 4
# CaBi2C2O8, optimized geometry, DFT PBE
data_CaBi2C2O8
_symmetry_space_group_name_H-M 'I m m m'
_symmetry_Int_Tables_number 71
_symmetry_space_group_name_Hall '-I 2 2'
_cell_length_a 3.3809
_cell_length_b 4.5959
_cell_length_c 22.2143
_cell_angle_alpha 90.00
_cell_angle_beta 90.00
_cell_angle_gamma 90.00
loop_
_atom_site_label
_atom_site_type_symbol
_atom_site_fract_x
_atom_site_fract_y
_atom_site_fract_z
Ca1 Ca 0.0000 0.0000 0.0000
Bi1 Bi 0.0000 0.0000 0.1908
C1 C 0.0000 0.0000 0.4085
O1 O 0.0000 0.0000 0.3489
O2 O 0.0000 0.2438 0.4362
O3 O 0.0000 0.5000 0.2462
# **E (MP2020)**: -186.3 eV per cell
# **DFT formation energy**: -25.337 eV per formula unit

Record 5
# ZrCo4Si, optimized geometry, DFT PBE
data_ZrCo4Si
_symmetry_space_group_name_H-M 'F -4 3 m'
_symmetry_Int_Tables_number 216
_symmetry_space_group_name_Hall 'F -4 2 3'
_cell_length_a 6.7054
_cell_length_b 6.7054
_cell_length_c 6.7054
_cell_angle_alpha 90.00
_cell_angle_beta 90.00
_cell_angle_gamma 90.00
loop_
_atom_site_label
_atom_site_type_symbol
_atom_site_fract_x
_atom_site_fract_y
_atom_site_fract_z
Zr1 Zr 0.0000 0.0000 0.0000
Co1 Co 0.1235 0.1235 0.3765
Si1 Si 0.2500 0.2500 0.7500
# **E (MP2020)**: -174.3 eV per cell
# **DFT formation energy**: -1.178 eV per formula unit

Record 6
# YN, optimized geometry, DFT PBE
data_YN
_symmetry_space_group_name_H-M 'P 63/m m c'
_symmetry_Int_Tables_number 194
_symmetry_space_group_name_Hall '-P 6c 2c'
_cell_length_a 3.4211
_cell_length_b 3.4211
_cell_length_c 6.0220
_cell_angle_alpha 90.00
_cell_angle_beta 90.00
_cell_angle_gamma 120.00
loop_
_atom_site_label
_atom_site_type_symbol
_atom_site_fract_x
_atom_site_fract_y
_atom_site_fract_z
Y1 Y 0.0000 0.0000 0.0000
N1 N 0.3333 0.6667 0.2500
# **E (MP2020)**: -35.7 eV per cell
# **DFT formation energy**: -3.024 eV per formula unit

Record 7
# CsNdNb2O7, optimized geometry, DFT PBE
data_CsNdNb2O7
_symmetry_space_group_name_H-M 'P m c 21'
_symmetry_Int_Tables_number 26
_cell_length_a 11.4671
_cell_length_b 5.5002
_cell_length_c 5.5682
_cell_angle_alpha 90.00
_cell_angle_beta 90.00
_cell_angle_gamma 90.00
loop_
_symmetry_equiv_pos_as_xyz
'x,y,z'
'-x,-y,z+1/2'
'-x,y,z'
'x,-y,z+1/2'
loop_
_atom_site_label
_atom_site_type_symbol
_atom_site_fract_x
_atom_site_fract_y
_atom_site_fract_z
Cs1 Cs 0.0000 0.2393 0.0000
Nd1 Nd 0.5000 0.2496 0.0332
Nb1 Nb 0.2997 0.2489 0.4929
O1 O 0.1450 0.3016 0.4989
O2 O 0.3095 0.0537 0.1777
O3 O 0.3581 0.4661 0.7620
O4 O 0.5000 0.1708 0.4581
# **E (MP2020)**: -191.1 eV per cell
# **Largest piezoelectric modulus**: 2.052 C/m2
# **DFT formation energy**: -35.043 eV per formula unit

Record 8
# Nd13Mg2Si4B8O43, optimized geometry, DFT PBE
data_Nd13Mg2Si4B8O43
_symmetry_space_group_name_H-M 'P 1 21/m 1'
_symmetry_Int_Tables_number 11
_cell_length_a 9.3230
_cell_length_b 16.0978
_cell_length_c 11.9283
_cell_angle_alpha 90.00
_cell_angle_beta 106.20
_cell_angle_gamma 90.00
loop_
_symmetry_equiv_pos_as_xyz
'x,y,z'
'-x,-y,-z'
'-x,y+1/2,-z'
'x,-y+1/2,z'
loop_
_atom_site_label
_atom_site_type_symbol
_atom_site_fract_x
_atom_site_fract_y
_atom_site_fract_z
Nd1 Nd 0.0386 0.2500 0.1516
Nd2 Nd 0.1411 0.0864 0.7173
Nd3 Nd 0.1786 0.6271 0.1380
Nd4 Nd 0.2282 0.2500 0.5123
Nd5 Nd 0.2394 0.6067 0.4967
Nd6 Nd 0.3220 0.6307 0.8555
Nd7 Nd 0.3578 0.0782 0.3004
Nd8 Nd 0.4463 0.2500 0.8620
Mg1 Mg 0.2543 0.0827 0.0088
Si1 Si 0.0353 0.0894 0.3795
Si2 Si 0.4578 0.0955 0.6143
B1 B 0.0076 0.0326 0.1101
B2 B 0.0283 0.7500 0.3172
B3 B 0.1491 0.2500 0.9046
B4 B 0.3579 0.2500 0.1210
B5 B 0.3701 0.7500 0.6418
B6 B 0.4906 0.0328 0.8899
O1 O 0.0165 0.2500 0.9346
O2 O 0.0487 0.1222 0.5125
O3 O 0.0564 0.0444 0.8835
O4 O 0.0758 0.6045 0.9203
O5 O 0.0904 0.6737 0.3046
O6 O 0.1122 0.2500 0.6661
O7 O 0.1152 0.0002 0.3719
O8 O 0.1254 0.1604 0.3247
O9 O 0.1450 0.5722 0.6794
O10 O 0.1614 0.0284 0.1300
O11 O 0.1878 0.7500 0.8129
O12 O 0.2230 0.1778 0.8900
O13 O 0.2582 0.7500 0.5361
O14 O 0.2724 0.7500 0.0466
O15 O 0.2858 0.1780 0.1392
O16 O 0.3203 0.7500 0.1800
O17 O 0.3395 0.0280 0.8804
O18 O 0.3611 0.5832 0.3260
O19 O 0.3680 0.1527 0.6888
O20 O 0.3972 0.5010 0.5993
O21 O 0.4198 0.6728 0.6891
O22 O 0.4229 0.1448 0.4888
O23 O 0.4247 0.6039 0.0738
O24 O 0.4466 0.0412 0.1331
O25 O 0.4808 0.2500 0.0763
# **E (MP2020)**: -1169.6 eV per cell
# **DFT formation energy**: -231.692 eV per formula unit

Record 9
# Cr3Os, optimized geometry, DFT PBE
data_Cr3Os
_symmetry_space_group_name_H-M 'P m -3 n'
_symmetry_Int_Tables_number 223
_symmetry_space_group_name_Hall '-P 4n 2 3'
_cell_length_a 4.6482
_cell_length_b 4.6482
_cell_length_c 4.6482
_cell_angle_alpha 90.00
_cell_angle_beta 90.00
_cell_angle_gamma 90.00
loop_
_atom_site_label
_atom_site_type_symbol
_atom_site_fract_x
_atom_site_fract_y
_atom_site_fract_z
Cr1 Cr 0.0000 0.2500 0.5000
Os1 Os 0.0000 0.0000 0.0000
# **DFT formation energy**: 0.103 eV per formula unit

> Look up the DFT formation energy of the third one.

-71.033 eV per formula unit

What did the ninth record say?
# Cr3Os, optimized geometry, DFT PBE
data_Cr3Os
_symmetry_space_group_name_H-M 'P m -3 n'
_symmetry_Int_Tables_number 223
_symmetry_space_group_name_Hall '-P 4n 2 3'
_cell_length_a 4.6482
_cell_length_b 4.6482
_cell_length_c 4.6482
_cell_angle_alpha 90.00
_cell_angle_beta 90.00
_cell_angle_gamma 90.00
loop_
_atom_site_label
_atom_site_type_symbol
_atom_site_fract_x
_atom_site_fract_y
_atom_site_fract_z
Cr1 Cr 0.0000 0.2500 0.5000
Os1 Os 0.0000 0.0000 0.0000
# **DFT formation energy**: 0.103 eV per formula unit

> Among the records above, which one has the highest DFT formation energy?

Cr3Os